Material: Li5Cu5Sb2O12
Method: DFT, PBE
State: optimized geometry

## Properties
Formation energy from the elements, meV per atom: -1625
Space-group type: C2, No. 5

Lattice parameters (Å, degrees): 5.2110 5.2110 9.8919 91.23 91.23 113.48
Atoms (fractional coordinates):
Li 0.0000 0.0000 0.0000
Li 0.2525 0.2317 0.7544
Li 0.4117 0.0631 0.2429
Li 0.7683 0.7475 0.2456
Li 0.9369 0.5883 0.7571
Cu 0.0878 0.4032 0.2480
Cu 0.1724 0.8276 0.5000
Cu 0.4996 0.5004 0.5000
Cu 0.5968 0.9122 0.7520
Cu 0.6799 0.3201 0.0000
Sb 0.3394 0.6606 0.0000
Sb 0.8347 0.1653 0.5000
O 0.0187 0.3432 0.9012
O 0.0821 0.7057 0.1359
O 0.0936 0.1041 0.3678
O 0.1578 0.4844 0.5981
O 0.2943 0.9179 0.8641
O 0.3954 0.3759 0.1199
O 0.5156 0.8422 0.4019
O 0.5680 0.2252 0.6262
O 0.6241 0.6046 0.8801
O 0.6568 0.9813 0.0988
O 0.7748 0.4320 0.3738
O 0.8959 0.9064 0.6322